Rb3LuP2O8 | r2SCAN | relaxed

The structure in extended XYZ format:
```
14
Lattice="5.6142 0.0000 0.0000 -2.8071 4.8620 0.0000 0.0000 0.0000 8.0569" Properties=species:S:1:pos:R:3 pbc="T T T"
Rb 0.0000 0.0000 4.0284
Rb 0.0000 3.2414 2.0582
Rb 2.8071 1.6207 5.9987
O 1.5466 0.8929 1.2455
O 2.8071 1.6207 3.2868
O 0.0000 3.2414 4.7701
O 0.0000 1.7858 6.8114
O 4.0676 0.8929 1.2455
O 2.8071 3.0762 1.2455
O 1.2605 3.9691 6.8114
O -1.2605 3.9691 6.8114
Lu 0.0000 0.0000 0.0000
P 0.0000 3.2414 6.2835
P 2.8071 1.6207 1.7734
```

Values from the calculation:
E_tot = -185.44 eV for the cell shown
Energy relative to the elements = -274 kJ/mol of atoms